(1)
Below is CeSbAu after structural relaxation, with properties calculated at the PBE level.

abc: 4.6839 4.6839 16.5147
angles: 90.00 90.00 120.00
Space group P6_3/mmc (No. 194)
Asymmetric unit:
1 Ce 0.0000 0.0000 0.0000 [2 per cell]
2 Ce 0.0000 0.0000 0.2500 [2 per cell]
3 Sb 0.3333 0.6667 0.1114 [4 per cell]
4 Au 0.3333 0.6667 0.6594 [4 per cell]

Summary:
crystal system: hexagonal
DFT total energy: -63.31 eV/cell
E_form: -0.83 eV per atom

(2)
Below is PrAu6 after structural relaxation, with properties calculated at the PBE level.

abc: 7.932 7.929 9.273
angles: 90.00 100.33 90.00
Space group C2/c (No. 15)
Asymmetric unit:
1 Pr 0.000 0.185 0.250 [4 per cell]
2 Au 0.099 0.442 0.637 [8 per cell]
3 Au 0.146 0.188 0.872 [8 per cell]
4 Au 0.197 0.082 0.581 [8 per cell]

Summary:
crystal system: monoclinic
DFT total energy: -109.34 eV/cell
E_form: -0.42 eV per atom

(3)
Below is In2SiAg2S6 after structural relaxation, with properties calculated at the PBE level.

abc: 12.340 7.302 12.320
angles: 90.00 109.41 90.00
Space group Cc (No. 9)
Asymmetric unit:
1 In 0.000 0.065 0.000 [4 per cell]
2 In 0.181 0.094 0.802 [4 per cell]
3 Si 0.433 0.269 0.743 [4 per cell]
4 Ag 0.157 0.410 0.496 [4 per cell]
5 Ag 0.362 0.211 0.154 [4 per cell]
6 S 0.053 0.226 0.615 [4 per cell]
7 S 0.116 0.239 0.293 [4 per cell]
8 S 0.171 0.239 0.984 [4 per cell]
9 S 0.361 0.245 0.560 [4 per cell]
10 S 0.363 0.498 0.299 [4 per cell]
11 S 0.385 0.028 0.817 [4 per cell]

Summary:
crystal system: monoclinic
DFT total energy: -187.14 eV/cell
corrected total energy (MP2020 scheme): -199.21 eV per cell
E_form: -0.76 eV per atom

What is the DFT total energy in the third record?
-187.14 eV/cell